# 1
A geometry-optimized MgCd4Tc4O12 structure. Source: the Materials Project, functional PBE.

Lattice parameters (Å, degrees): 5.5644 5.6444 8.0763 95.30 89.61 89.41
Positions (direct):
Mg 0.1219 0.8333 0.3857
Cd 0.5275 0.5432 0.2669
Cd 0.9844 0.1377 0.1907
Cd 0.4863 0.4517 0.7575
Cd 0.0126 0.9451 0.7620
Tc 0.0017 0.5309 0.9932
Tc 0.5208 0.9962 0.5168
Tc 0.9946 0.4520 0.5167
Tc 0.4957 0.0098 0.0017
O 0.7953 0.8249 0.0538
O 0.7047 0.2674 0.4455
O 0.1962 0.1595 0.5611
O 0.2909 0.7224 0.9422
O 0.2037 0.2184 0.9450
O 0.2984 0.6750 0.5674
O 0.7991 0.7650 0.4636
O 0.6938 0.3305 0.0524
O 0.3811 0.9765 0.2534
O 0.1165 0.5176 0.2479
O 0.6146 0.0282 0.7628
O 0.8851 0.5135 0.7553

Space group ... P1, No. 1
Formation energy ... -34.20 kcal/mol of atoms
Size of the total moment ... 0.1 μB per formula unit
Distance to the lowest polymorph of the same formula ... 0 meV per atom

***

# 2
A geometry-optimized MgCd4Tc4O12 structure. Source: the Materials Project, functional PBE.

Lattice parameters (Å, degrees): 5.7054 5.5340 7.9910 90.00 90.00 86.83
Positions (direct):
Mg 0.7211 0.6395 0.2500
Cd 0.4196 0.3172 0.2500
Cd 0.9753 0.0754 0.2500
Cd 0.5272 0.4732 0.7499
Cd 0.0077 0.9855 0.7500
Tc 0.0260 0.5171 0.9854
Tc 0.5026 0.9911 0.5087
Tc 0.0259 0.5172 0.5146
Tc 0.5026 0.9911 0.9913
O 0.8245 0.8260 0.0469
O 0.7197 0.3390 0.4453
O 0.2057 0.2031 0.5519
O 0.3121 0.7075 0.9356
O 0.2057 0.2029 0.9481
O 0.3121 0.7076 0.5644
O 0.8246 0.8261 0.4531
O 0.7197 0.3389 0.0547
O 0.4299 0.8800 0.2500
O 0.0719 0.4875 0.2500
O 0.6104 0.0654 0.7500
O 0.9128 0.5635 0.7500

Space group ... Pm, No. 6
Formation energy ... -33.99 kcal/mol of atoms
Size of the total moment ... 1.9 μB per formula unit
Distance to the lowest polymorph of the same formula ... 9 meV per atom

***

# 3
A geometry-optimized MgCd4Tc4O12 structure. Source: the Materials Project, functional PBE.

Lattice parameters (Å, degrees): 5.6623 5.5971 7.9926 92.42 90.41 88.32
Positions (direct):
Mg 0.7142 0.6714 0.2274
Cd 0.4097 0.3523 0.2714
Cd 0.9761 0.0904 0.2482
Cd 0.5111 0.4751 0.7553
Cd 0.0108 0.9887 0.7563
Tc 0.0190 0.5301 0.9845
Tc 0.5000 0.9898 0.5131
Tc 0.0112 0.5187 0.5135
Tc 0.5009 0.0186 0.9925
O 0.8252 0.8526 0.0382
O 0.7103 0.3056 0.4508
O 0.2044 0.2075 0.5537
O 0.3013 0.7304 0.9237
O 0.1932 0.2126 0.9648
O 0.3059 0.7089 0.5560
O 0.8087 0.8111 0.4522
O 0.6915 0.3608 0.0538
O 0.4298 0.9277 0.2493
O 0.0593 0.5074 0.2448
O 0.6044 0.0646 0.7527
O 0.9034 0.5567 0.7478

Space group ... P1, No. 1
Formation energy ... -33.73 kcal/mol of atoms
Size of the total moment ... 4.2 μB per formula unit
Distance to the lowest polymorph of the same formula ... 20 meV per atom

***

# 4
A geometry-optimized MgTi2Cd2O6 structure. Source: the Materials Project, functional PBE.

Lattice parameters (Å, degrees): 6.0370 6.0357 6.0305 54.79 54.79 54.79
Positions (direct):
Mg 0.7915 0.7906 0.7916
Ti 0.9792 0.9791 0.9799
Ti 0.1679 0.1653 0.1666
Cd 0.5856 0.5854 0.5855
Cd 0.4058 0.4048 0.4059
O 0.8381 0.3654 0.9446
O 0.3650 0.9452 0.8397
O 0.9443 0.8381 0.3663
O 0.0779 0.5599 0.0318
O 0.0330 0.0753 0.5611
O 0.5619 0.0306 0.0770

Space group ... P1, No. 1
Formation energy ... -58.66 kcal/mol of atoms
Size of the total moment ... 0.0 μB per formula unit
Distance to the lowest polymorph of the same formula ... 57 meV per atom